## Ni3Bi2S2 (PBE)

Data for a geometry-optimized Ni3Bi2S2 structure.

a = 6.9589 Å, b = 6.9589 Å, c = 6.9589 Å
α = 109.47°, β = 109.47°, γ = 109.47°
Element x y z (fractional)
1 Bi 0.0000 0.4916 0.5000
2 Bi 0.4916 0.5000 0.0000
3 Bi 0.5000 0.0000 0.4916
4 Bi 0.0084 0.0084 0.0084
5 S 0.5403 0.5403 0.5403
6 S 0.9597 0.5000 0.0000
7 S 0.5000 0.0000 0.9597
8 S 0.0000 0.9597 0.5000
9 Ni 0.9823 0.2323 0.7500
10 Ni 0.2323 0.7500 0.9823
11 Ni 0.2500 0.5177 0.2677
12 Ni 0.7500 0.9823 0.2323
13 Ni 0.2677 0.2500 0.5177
14 Ni 0.5177 0.2677 0.2500

Output
* DFT formation energy: -0.4442 eV per atom
* SG: I2_13, No. 199


## Ni3Bi2S2 (PBE)

Data for a geometry-optimized Ni3Bi2S2 structure.

a = 5.5497 Å, b = 5.5497 Å, c = 5.5497 Å
α = 63.23°, β = 63.23°, γ = 63.23°
Element x y z (fractional)
1 Ni 0.5000 0.0000 0.0000
2 Ni 0.0000 0.0000 0.5000
3 Ni 0.0000 0.5000 0.0000
4 S 0.7283 0.7283 0.7283
5 S 0.2717 0.2717 0.2717
6 Bi 0.5000 0.5000 0.5000
7 Bi 0.0000 0.0000 0.0000

Output
* DFT formation energy: -0.3891 eV per atom
* SG: R-3m, No. 166


## Ni3Bi2Se2 (PBE)

Data for a geometry-optimized Ni3Bi2Se2 structure.

a = 6.9745 Å, b = 6.9745 Å, c = 8.1341 Å
α = 56.51°, β = 56.51°, γ = 72.22°
Element x y z (fractional)
1 Ni 0.2730 0.7270 0.5000
2 Ni 0.5000 0.0000 0.5000
3 Ni 0.0000 0.5000 0.5000
4 Ni 0.0169 0.0169 0.2115
5 Ni 0.7270 0.2730 0.5000
6 Ni 0.9831 0.9831 0.7885
7 Se 0.3066 0.7443 0.1929
8 Se 0.7443 0.3066 0.1929
9 Se 0.2557 0.6934 0.8071
10 Se 0.6934 0.2557 0.8071
11 Bi 0.7493 0.7493 0.2573
12 Bi 0.2158 0.2158 0.3007
13 Bi 0.2507 0.2507 0.7427
14 Bi 0.7842 0.7842 0.6993

Output
* DFT formation energy: -0.3674 eV per atom
* SG: C2/m, No. 12


## SmNi2Bi2 (PBE)

Data for a geometry-optimized SmNi2Bi2 structure.

a = 4.6401 Å, b = 4.6401 Å, c = 10.1581 Å
α = 90.00°, β = 90.00°, γ = 90.00°
Element x y z (fractional)
1 Ni 0.5000 0.5000 0.0000
2 Ni 0.0000 0.0000 0.0000
3 Ni 0.5000 0.0000 0.6251
4 Ni 0.0000 0.5000 0.3749
5 Bi 0.5000 0.0000 0.8745
6 Bi 0.0000 0.5000 0.1255
7 Bi 0.0000 0.0000 0.5000
8 Bi 0.5000 0.5000 0.5000
9 Sm 0.0000 0.5000 0.7699
10 Sm 0.5000 0.0000 0.2301

Output
* DFT formation energy: -0.2984 eV per atom
* SG: P4/nmm, No. 129